Entry 1:
## MnZnO2 (PBE with a Hubbard U)

Data for a geometry-optimized MnZnO2 structure.

Summary:
Crystal system ... triclinic
E (MP2020) ... -6.737 eV/atom
Total magnetic moment ... 4.50 μB/f.u.

abc: 3.1404 8.2080 8.2704
angles: 107.43 88.70 98.80
Atoms (fractional coordinates):
O: 0.1166 0.6221 0.3679
O: 0.2812 0.3576 0.8892
O: 0.7061 0.9896 0.2905
Mn: 0.2604 0.5152 0.1266
O: 0.9833 0.6692 0.0031
Zn: 0.5609 0.8347 0.0493
Zn: 0.6783 0.2024 0.1990
Mn: 0.8946 0.4670 0.7744
O: 0.5176 0.5685 0.6583
Zn: 0.2193 0.4159 0.4377
Mn: 0.6512 0.7644 0.5309
O: 0.8492 0.2627 0.5677
O: 0.6603 0.0443 0.9678
Zn: 0.1927 0.1008 0.8424
O: 0.2005 0.9351 0.6141
Mn: 0.2596 0.0898 0.4554

***

Entry 2:
## MnZnO3 (PBE with a Hubbard U)

Data for a geometry-optimized MnZnO3 structure.

Summary:
Crystal system ... cubic
E (MP2020) ... -6.311 eV/atom
Total magnetic moment ... 3.14 μB/f.u.

abc: 3.7388 3.7388 3.7388
angles: 90.00 90.00 90.00
Atoms (fractional coordinates):
Zn: 0.0000 0.0000 0.0000
O: 0.5000 0.0000 0.5000
Mn: 0.5000 0.5000 0.5000
O: 0.0000 0.5000 0.5000
O: 0.5000 0.5000 0.0000

***

Entry 3:
## MnZn4O5 (PBE with a Hubbard U)

Data for a geometry-optimized MnZn4O5 structure.

Summary:
E (MP2020) ... -5.715 eV/atom

abc: 3.3223 27.0376 5.7253
angles: 83.87 89.98 86.45
Atoms (fractional coordinates):
O: 0.1380 0.7235 0.4711
O: 0.3351 0.3283 0.6699
O: 0.6381 0.7235 0.9710
Mn: 0.8487 0.3011 0.5158
Zn: 0.5018 0.9962 0.8347
O: 0.8891 0.2228 0.5555
O: 0.1895 0.6240 0.8551
O: 0.6895 0.6240 0.3551
Zn: 0.0508 0.8978 0.7181
O: 0.9388 0.1254 0.2711
O: 0.4389 0.1254 0.7711
Zn: 0.6501 0.6995 0.3173
O: 0.5885 0.8226 0.2559
Zn: 0.7004 0.6001 0.0329
Zn: 0.2004 0.6001 0.5329
Zn: 0.2980 0.4029 0.6315
O: 0.7374 0.5247 0.0708
O: 0.0885 0.8226 0.7559
Zn: 0.2493 0.5012 0.9166
Mn: 0.3488 0.3011 0.0158
O: 0.4897 0.0198 0.1569
Zn: 0.1501 0.6995 0.8174
Mn: 0.9517 0.0982 0.6171
Zn: 0.6003 0.7988 0.9336
Mn: 0.4516 0.0982 0.1171
Zn: 0.5508 0.8978 0.2181
O: 0.5386 0.9213 0.8718
Zn: 0.1003 0.7988 0.4336
Zn: 0.7493 0.5012 0.4166
O: 0.8352 0.3283 0.1698
O: 0.7865 0.4261 0.4540
O: 0.9897 0.0198 0.6569
O: 0.2865 0.4261 0.9540
Zn: 0.4007 0.1996 0.7333
O: 0.3891 0.2228 0.0555
Zn: 0.7980 0.4029 0.1315
Zn: 0.0018 0.9962 0.3348
O: 0.0386 0.9213 0.3718
Zn: 0.9007 0.1996 0.2333
O: 0.2374 0.5247 0.5708

***

Entry 4:
## Mn3ZnO7 (PBE with a Hubbard U)

Data for a geometry-optimized Mn3ZnO7 structure.

Summary:
Crystal system ... orthorhombic
ΔE to the lowest computed polymorph ... 313 meV/atom
E (MP2020) ... -7.265 eV/atom
Total magnetic moment ... 9.00 μB/f.u.

abc: 5.5524 9.3444 10.4474
angles: 90.00 90.00 90.00
Atoms (fractional coordinates):
O: 0.4990 0.7229 0.1157
Zn: 0.6175 0.9903 0.7500
O: 0.5010 0.2771 0.6157
O: 0.0010 0.2229 0.1157
Zn: 0.8825 0.4903 0.7500
Mn: 0.2275 0.7398 0.7500
O: 0.2191 0.5528 0.7500
Mn: 0.7727 0.2063 0.9772
Mn: 0.2727 0.2937 0.0228
O: 0.9990 0.7771 0.6157
O: 0.9598 0.7105 0.1190
O: 0.7724 0.0334 0.5879
O: 0.9598 0.7105 0.3810
O: 0.9990 0.7771 0.8843
Mn: 0.7725 0.2602 0.2500
O: 0.2276 0.9666 0.0879
O: 0.5402 0.2105 0.1190
O: 0.0402 0.2895 0.8810
O: 0.0402 0.2895 0.6190
Mn: 0.2727 0.2937 0.4772
O: 0.2809 0.0528 0.7500
O: 0.4598 0.7895 0.8810
O: 0.7724 0.0334 0.9121
Mn: 0.7273 0.7063 0.5228
Zn: 0.1175 0.5097 0.2500
O: 0.4990 0.7229 0.3843
O: 0.2276 0.9666 0.4121
O: 0.0010 0.2229 0.3843
O: 0.5010 0.2771 0.8843
O: 0.7191 0.9472 0.2500
Zn: 0.3825 0.0097 0.2500
O: 0.5402 0.2105 0.3810
Mn: 0.2273 0.7937 0.4772
Mn: 0.7727 0.2063 0.5228
O: 0.2724 0.4666 0.0879
Mn: 0.7275 0.7602 0.2500
Mn: 0.2725 0.2398 0.7500
O: 0.7276 0.5334 0.5879
O: 0.2724 0.4666 0.4121
Mn: 0.2273 0.7937 0.0228
O: 0.7276 0.5334 0.9121
Mn: 0.7273 0.7063 0.9772
O: 0.7809 0.4472 0.2500
O: 0.4598 0.7895 0.6190

***

Entry 5:
## MnZnO2 (PBE with a Hubbard U)

Data for a geometry-optimized MnZnO2 structure.

Summary:
Crystal system ... triclinic
E (MP2020) ... -6.825 eV/atom
Total magnetic moment ... 5.00 μB/f.u.

abc: 3.1315 8.1652 8.5188
angles: 91.26 94.97 91.95
Atoms (fractional coordinates):
Mn: 0.4823 0.7473 0.9279
Zn: 0.1468 0.4153 0.7521
Zn: 0.7406 0.7528 0.6149
Zn: 0.2594 0.2472 0.3851
O: 0.0223 0.7526 0.0853
O: 0.9777 0.2474 0.9147
Mn: 0.5177 0.2527 0.0721
O: 0.3353 0.4317 0.2438
Mn: 0.7844 0.0884 0.7158
Zn: 0.8532 0.5847 0.2479
O: 0.7357 0.7721 0.3926
O: 0.6647 0.5683 0.7562
O: 0.7129 0.1092 0.2700
O: 0.2871 0.8908 0.7300
Mn: 0.2156 0.9116 0.2842
O: 0.2643 0.2279 0.6074

***

Entry 6:
## Mn3ZnO10 (PBE with a Hubbard U)

Data for a geometry-optimized Mn3ZnO10 structure.

Summary:
Crystal system ... trigonal
ΔE to the lowest computed polymorph ... 123 meV/atom
E (MP2020) ... -6.591 eV/atom
Total magnetic moment ... 15.00 μB/f.u.

abc: 8.0298 8.0298 8.0298
angles: 56.91 56.91 56.91
Atoms (fractional coordinates):
Mn: 0.4240 0.7170 0.8587
O: 0.5749 0.1439 0.4268
Mn: 0.5760 0.2830 0.1413
O: 0.1506 0.6934 0.9993
O: 0.3391 0.9264 0.2280
O: 0.8494 0.3066 0.0007
O: 0.7720 0.6609 0.0736
O: 0.8561 0.5732 0.4251
O: 0.2860 0.2860 0.2860
Zn: 0.1062 0.1062 0.1062
O: 0.1439 0.4268 0.5749
O: 0.9993 0.1506 0.6934
Mn: 0.8587 0.4240 0.7170
O: 0.3066 0.0007 0.8494
O: 0.4251 0.8561 0.5732
O: 0.4268 0.5749 0.1439
O: 0.0736 0.7720 0.6609
O: 0.9264 0.2280 0.3391
O: 0.0007 0.8494 0.3066
O: 0.7140 0.7140 0.7140
O: 0.6934 0.9993 0.1506
O: 0.2280 0.3391 0.9264
Mn: 0.7170 0.8587 0.4240
O: 0.6609 0.0736 0.7720
Zn: 0.8938 0.8938 0.8938
Mn: 0.2830 0.1413 0.5760
Mn: 0.1413 0.5760 0.2830
O: 0.5732 0.4251 0.8561